The following is a PBE with a Hubbard U calculation of an optimized crystal structure of Mn3OF5, from the Materials Project database.

```
Mn3OF5
1.0
3.3918 -3.5024 0.0000
3.3918 3.5024 0.0000
-0.0985 0.0000 9.7871
Mn O F
6 2 10
direct
0.0000 0.0000 0.0000
0.0040 0.0040 0.3225
0.4678 0.4678 0.1629
0.5000 0.5000 0.5000
0.5322 0.5322 0.8371
0.9960 0.9960 0.6775
0.1736 0.1736 0.1563
0.8264 0.8264 0.8437
0.1893 0.1893 0.5069
0.2196 0.2196 0.8387
0.2929 0.6856 0.3319
0.2970 0.7030 0.0000
0.3144 0.7071 0.6681
0.6856 0.2929 0.3319
0.7030 0.2970 0.0000
0.7071 0.3144 0.6681
0.7804 0.7804 0.1613
0.8107 0.8107 0.4931
```

Values from the calculation:
ΔH_f (0 K)   -2.73 eV/atom
Raw total energy   -117.1 eV per cell
Space-group type   No. 12
Energy above the lowest structure with this stoichiometry   0.018 eV/atom

=====

The following is a PBE with a Hubbard U calculation of an optimized crystal structure of Ni3Se4Cl2O10, from the Materials Project database.

```
Ni3Se4Cl2O10
1.0
7.1531 0.0002 -2.2129
3.5765 -7.0265 -1.1058
0.0962 0.0011 -11.6917
O Cl Se Ni
20 4 8 6
direct
0.0909 0.4468 0.3559
0.4625 0.4467 0.1439
0.4708 0.7812 0.6188
0.0910 0.4467 0.8558
0.2520 0.2187 0.6189
0.4709 0.7812 0.1189
0.2521 0.2187 0.1189
0.7478 0.7813 0.8812
0.8888 0.2219 0.2500
0.5290 0.2188 0.8813
0.9091 0.5533 0.6440
0.1110 0.7780 0.7500
0.9091 0.5532 0.1440
0.5289 0.2187 0.3813
0.1109 0.7781 0.2500
0.8889 0.2220 0.7500
0.4626 0.4466 0.6439
0.5375 0.5534 0.8559
0.7477 0.7813 0.3813
0.5375 0.5533 0.3559
0.3011 0.0000 0.8736
0.6993 0.0000 0.6264
0.3011 0.0000 0.3737
0.6993 0.0000 0.1264
0.6815 0.3231 0.8884
0.6816 0.3229 0.3883
0.9955 0.3228 0.1117
0.3184 0.6769 0.6117
0.0046 0.6771 0.8883
0.3185 0.6770 0.1117
0.0046 0.6772 0.3883
0.9954 0.3229 0.6117
0.6279 0.7443 0.7500
0.3720 0.2563 0.2499
0.5000 0.0000 0.0000
0.3720 0.2559 0.7500
0.4998 0.0000 0.5001
0.6283 0.7437 0.2500
```

Values from the calculation:
ΔH_f (0 K)   -1.17 eV/atom
Raw total energy   -184.4 eV per cell

=====

no.,E (MP2020) (eV per atom)
1,-7.395
2,-5.616